An optimized crystal structure of Li5La3Nb14O42, computed with PBE-GGA.

Calculated values
The calculated total energy comes out at -8.431 eV/atom. Its energy of formation is -3.04 eV/atom. The crystal system is monoclinic. As for the magnetization: 0.00 μB/f.u.

Unit cell a=16.9899 b=5.6310 c=18.6912 alpha=90.00 beta=96.04 gamma=90.00
Space group C2/m (No. 12)
Symmetry-distinct sites (fractional):
Li1 0.0000 0.0000 0.0000 [2 per cell]
Li2 0.0717 0.0000 0.6427 [4 per cell]
Li3 0.2133 0.0000 0.9278 [4 per cell]
La1 0.0000 0.5000 0.5000 [2 per cell]
La2 0.1431 0.5000 0.7864 [4 per cell]
Nb1 0.0328 0.0000 0.8217 [4 per cell]
Nb2 0.0386 0.5000 0.3210 [4 per cell]
Nb3 0.1077 0.5000 0.9670 [4 per cell]
Nb4 0.1106 0.0000 0.4637 [4 per cell]
Nb5 0.1768 0.0000 0.1073 [4 per cell]
Nb6 0.1820 0.5000 0.6065 [4 per cell]
Nb7 0.2460 0.5000 0.2511 [4 per cell]
O1 0.0000 0.0000 0.5000 [2 per cell]
O2 0.0000 0.5000 0.0000 [2 per cell]
O3 0.0105 0.2564 0.7482 [8 per cell]
O4 0.0624 0.2556 0.3980 [8 per cell]
O5 0.0693 0.0000 0.1372 [4 per cell]
O6 0.0713 0.5000 0.6425 [4 per cell]
O7 0.0786 0.2522 0.8892 [8 per cell]
O8 0.1323 0.2562 0.5372 [8 per cell]
O9 0.1426 0.0000 0.7859 [4 per cell]
O10 0.1430 0.5000 0.2859 [4 per cell]
O11 0.1489 0.2452 0.0323 [8 per cell]
O12 0.2050 0.2557 0.6835 [8 per cell]
O13 0.2119 0.5000 0.9240 [4 per cell]
O14 0.2142 0.0000 0.4285 [4 per cell]
O15 0.2249 0.2445 0.1775 [8 per cell]